(1)
A plane-wave DFT calculation with PBE was carried out for a relaxed Na5Ti2Zn2P5SO24 crystal.

a b c (Å): 8.8247 8.8281 22.1073
angles (deg): 90.21 90.03 119.90
Element x y z (fractional)
1 Na 0.0000 0.0000 0.0000
2 Na 0.0031 0.6338 0.2473
3 Na 0.0093 0.2754 0.4954
4 Na 0.3256 0.2872 0.0833
5 Na 0.3301 0.3002 0.5809
6 Na 0.3436 0.9415 0.8268
7 Na 0.3568 0.0028 0.4955
8 Na 0.3706 0.6360 0.9956
9 Na 0.6224 0.2635 0.9996
10 Na 0.6282 0.6260 0.4954
11 Na 0.6615 0.9551 0.9101
12 Na 0.6634 0.9645 0.4108
13 Na 0.6714 0.6025 0.1650
14 Na 0.9621 0.2957 0.8261
15 Na 0.9940 0.6331 0.7390
16 Ti 0.3264 0.2871 0.2332
17 Ti 0.3277 0.2955 0.7275
18 Ti 0.6670 0.9778 0.5658
19 Ti 0.6758 0.9788 0.2685
20 Ti 0.9965 0.6351 0.3936
21 Ti 0.9960 0.6455 0.8921
22 Zn 0.0047 0.6344 0.5989
23 Zn 0.3327 0.3024 0.4262
24 Zn 0.3377 0.3028 0.9261
25 Zn 0.6635 0.9656 0.7633
26 Zn 0.6638 0.9701 0.0694
27 Zn 0.9975 0.6419 0.1021
28 P 0.0377 0.0102 0.8322
29 P 0.0408 0.3041 0.3321
30 P 0.2884 0.9254 0.9982
31 P 0.2902 0.6352 0.4980
32 P 0.3322 0.0034 0.3328
33 P 0.3325 0.5926 0.8327
34 P 0.3691 0.9676 0.6672
35 P 0.6251 0.5965 0.3309
36 P 0.6255 0.3048 0.8318
37 P 0.6627 0.2590 0.1646
38 P 0.7045 0.6325 0.9991
39 P 0.7089 0.3459 0.4988
40 P 0.9600 0.2636 0.6675
41 P 0.9608 0.9742 0.1644
42 P 0.9966 0.9240 0.4991
43 S 0.3710 0.6719 0.1656
44 S 0.6616 0.6735 0.6649
45 S 0.9986 0.3456 0.9974
46 O 0.0215 0.4685 0.3364
47 O 0.0252 0.4531 0.0511
48 O 0.0305 0.8279 0.8364
49 O 0.0305 0.8443 0.5541
50 O 0.1055 0.2655 0.3905
51 O 0.1122 0.1153 0.8906
52 O 0.1431 0.2725 0.6714
53 O 0.1442 0.1386 0.1752
54 O 0.1539 0.1089 0.4915
55 O 0.1545 0.3232 0.9928
56 O 0.1576 0.6043 0.8369
57 O 0.1617 0.3269 0.2775
58 O 0.1643 0.8226 0.3365
59 O 0.1648 0.1005 0.7778
60 O 0.1732 0.8382 0.0525
61 O 0.1770 0.5982 0.5534
62 O 0.1878 0.8131 0.6589
63 O 0.1952 0.8080 0.9395
64 O 0.1964 0.6529 0.1617
65 O 0.2004 0.6689 0.4418
66 O 0.2986 0.4660 0.7783
67 O 0.3047 0.1010 0.2780
68 O 0.3072 0.1084 0.9929
69 O 0.3186 0.4779 0.4904
70 O 0.3552 0.5181 0.8921
71 O 0.3587 0.4967 0.1728
72 O 0.3631 0.1433 0.6711
73 O 0.3685 0.1095 0.3907
74 O 0.4505 0.9435 0.7242
75 O 0.4641 0.7862 0.2176
76 O 0.4703 0.9389 0.9989
77 O 0.4743 0.7399 0.1085
78 O 0.4749 0.8065 0.5038
79 O 0.4853 0.7781 0.8257
80 O 0.4930 0.9816 0.3198
81 O 0.4933 0.9945 0.6098
82 O 0.4979 0.2827 0.1747
83 O 0.4977 0.4993 0.6688
84 O 0.5199 0.2680 0.8903
85 O 0.5203 0.4722 0.9925
86 O 0.5211 0.5272 0.3891
87 O 0.5226 0.3146 0.4913
88 O 0.5305 0.3310 0.7772
89 O 0.5329 0.4765 0.2750
90 O 0.6270 0.1572 0.1048
91 O 0.6366 0.7593 0.6089
92 O 0.6487 0.7814 0.3194
93 O 0.6530 0.1465 0.8254
94 O 0.6797 0.1544 0.2182
95 O 0.6865 0.7789 0.7191
96 O 0.6953 0.1591 0.5044
97 O 0.6952 0.8027 0.9995
98 O 0.7812 0.5988 0.0560
99 O 0.7872 0.4586 0.5543
100 O 0.8091 0.6124 0.3366
101 O 0.8116 0.4720 0.8377
102 O 0.8146 0.6507 0.6581
103 O 0.8241 0.4423 0.1644
104 O 0.8247 0.9371 0.5039
105 O 0.8300 0.4311 0.4423
106 O 0.8295 0.6556 0.9433
107 O 0.8334 0.9496 0.2175
108 O 0.8383 0.1699 0.9994
109 O 0.8543 0.1410 0.3207
110 O 0.8557 0.1798 0.7242
111 O 0.8566 0.9871 0.8243
112 O 0.8649 0.1399 0.6095
113 O 0.8905 0.0046 0.1048
114 O 0.9639 0.8017 0.4421
115 O 0.9719 0.8061 0.1650
116 O 0.9753 0.4293 0.9415
117 O 0.9809 0.4428 0.6592

The spin magnetization is 0.000 μB per atom. The total energy comes out at -6.6804 eV/atom.


(2)
A plane-wave DFT calculation with PBE was carried out for a relaxed La12Fe11S30 crystal.

a b c (Å): 24.9393 24.9393 11.0774
angles (deg): 92.00 92.00 9.08
Element x y z (fractional)
1 La 0.0000 0.0000 0.0000
2 La 0.9998 0.9998 0.3799
3 La 0.0771 0.0771 0.8470
4 La 0.0802 0.0802 0.4563
5 La 0.3291 0.3291 0.9769
6 La 0.3312 0.3312 0.3583
7 La 0.4101 0.4101 0.8730
8 La 0.4125 0.4125 0.4880
9 La 0.6632 0.6632 0.3499
10 La 0.6626 0.6626 0.9682
11 La 0.7438 0.7438 0.8463
12 La 0.7459 0.7459 0.4691
13 Fe 0.0984 0.0984 0.1445
14 Fe 0.1729 0.1729 0.6809
15 Fe 0.2312 0.2312 0.1896
16 Fe 0.3069 0.3069 0.6567
17 Fe 0.4369 0.4369 0.1813
18 Fe 0.5052 0.5052 0.7099
19 Fe 0.6386 0.6386 0.6599
20 Fe 0.7682 0.7682 0.1499
21 Fe 0.8422 0.8422 0.6939
22 Fe 0.9039 0.9039 0.1997
23 Fe 0.9724 0.9724 0.6860
24 S 0.0226 0.0226 0.6423
25 S 0.0541 0.0541 0.1110
26 S 0.1371 0.1371 0.8055
27 S 0.1407 0.1407 0.5175
28 S 0.1525 0.1525 0.1564
29 S 0.1994 0.1994 0.8550
30 S 0.2072 0.2072 0.3703
31 S 0.2565 0.2565 0.6568
32 S 0.2700 0.2700 0.0040
33 S 0.2709 0.2709 0.3072
34 S 0.3583 0.3583 0.6105
35 S 0.3860 0.3860 0.1253
36 S 0.4701 0.4701 0.8428
37 S 0.4732 0.4732 0.5430
38 S 0.4865 0.4865 0.1842
39 S 0.5334 0.5334 0.8759
40 S 0.5401 0.5401 0.3970
41 S 0.5892 0.5892 0.6536
42 S 0.6046 0.6046 0.2989
43 S 0.6045 0.6045 0.9973
44 S 0.6912 0.6912 0.6122
45 S 0.7181 0.7181 0.0965
46 S 0.8040 0.8040 0.8109
47 S 0.8058 0.8058 0.5109
48 S 0.8190 0.8190 0.1647
49 S 0.8672 0.8672 0.8822
50 S 0.8766 0.8766 0.3658
51 S 0.9226 0.9226 0.6812
52 S 0.9351 0.9351 0.0407
53 S 0.9396 0.9396 0.3358

The spin magnetization is 0.712 μB per atom. The total energy comes out at -6.5314 eV/atom.


(3)
A plane-wave DFT calculation with PBE was carried out for a relaxed LiTe4H4O6F8 crystal.

a b c (Å): 5.0315 6.4616 11.6036
angles (deg): 92.63 101.08 112.27
Element x y z (fractional)
1 Li 0.0000 0.0000 0.0000
2 Te 0.0947 0.0343 0.7428
3 Te 0.1859 0.0556 0.2828
4 Te 0.2831 0.5487 0.0421
5 Te 0.7930 0.5441 0.5456
6 H 0.0711 0.5365 0.3945
7 H 0.4808 0.6132 0.8588
8 H 0.5165 0.1306 0.9184
9 H 0.5986 0.0261 0.4322
10 O 0.0949 0.7514 0.6815
11 O 0.2921 0.1735 0.1488
12 O 0.3060 0.0236 0.8998
13 O 0.3340 0.4805 0.8840
14 O 0.5686 0.1550 0.3974
15 O 0.9964 0.6481 0.4233
16 F 0.0428 0.3716 0.5872
17 F 0.2326 0.3718 0.3516
18 F 0.2884 0.7888 0.2357
19 F 0.4854 0.1845 0.7040
20 F 0.7095 0.8345 0.5258
21 F 0.7103 0.7866 0.0715
22 F 0.7637 0.8438 0.8268
23 F 0.8900 0.2665 0.9770

Its energy above the lowest structure with this stoichiometry is 0.0 meV/atom. The spin magnetization is 0.043 μB per atom. The total energy comes out at -4.7202 eV/atom.


(4)
A plane-wave DFT calculation with PBE was carried out for a relaxed La6Mg23P crystal.

a b c (Å): 10.3318 10.3318 10.3318
angles (deg): 60.00 60.00 60.00
Element x y z (fractional)
1 La 0.2027 0.2027 0.7973
2 La 0.2027 0.7973 0.2027
3 La 0.2027 0.7973 0.7973
4 La 0.7973 0.2027 0.2027
5 La 0.7973 0.2027 0.7973
6 La 0.7973 0.7973 0.2027
7 Mg 0.0000 0.0000 0.5000
8 Mg 0.0000 0.5000 0.0000
9 Mg 0.0000 0.5000 0.5000
10 Mg 0.1377 0.6208 0.6208
11 Mg 0.1730 0.1730 0.1730
12 Mg 0.1730 0.1730 0.4811
13 Mg 0.1730 0.4811 0.1730
14 Mg 0.3792 0.3792 0.3792
15 Mg 0.3792 0.3792 0.8623
16 Mg 0.3792 0.8623 0.3792
17 Mg 0.4811 0.1730 0.1730
18 Mg 0.5000 0.0000 0.0000
19 Mg 0.5000 0.0000 0.5000
20 Mg 0.5000 0.5000 0.0000
21 Mg 0.5000 0.5000 0.5000
22 Mg 0.5189 0.8270 0.8270
23 Mg 0.6208 0.1377 0.6208
24 Mg 0.6208 0.6208 0.1377
25 Mg 0.6208 0.6208 0.6208
26 Mg 0.8270 0.5189 0.8270
27 Mg 0.8270 0.8270 0.5189
28 Mg 0.8270 0.8270 0.8270
29 Mg 0.8623 0.3792 0.3792
30 P 0.0000 0.0000 0.0000

The spin magnetization is 0.010 μB per atom. The total energy comes out at -2.6083 eV/atom.


(5)
A plane-wave DFT calculation with PBE was carried out for a relaxed MgAl4Cu2O8 crystal.

a b c (Å): 6.1385 6.1385 6.1385
angles (deg): 124.59 123.50 83.13
Element x y z (fractional)
1 Mg 0.0000 0.0000 0.0000
2 Al 0.4140 0.6708 0.7432
3 Al 0.4625 0.2044 0.7419
4 Al 0.4625 0.7206 0.2581
5 Al 0.9276 0.6708 0.2568
6 Cu 0.2585 0.2585 0.0000
7 Cu 0.8133 0.3133 0.5000
8 O 0.1502 0.4339 0.2836
9 O 0.1502 0.8666 0.7164
10 O 0.1920 0.8996 0.2924
11 O 0.2401 0.4546 0.7855
12 O 0.6073 0.8996 0.7076
13 O 0.6633 0.4410 0.7777
14 O 0.6633 0.8856 0.2223
15 O 0.6691 0.4546 0.2145

Its energy above the lowest structure with this stoichiometry is 23.7 meV/atom. The spin magnetization is 0.000 μB per atom. The total energy comes out at -6.4917 eV/atom.


(6)
A plane-wave DFT calculation with PBE was carried out for a relaxed MgAl2 crystal.

a b c (Å): 5.4832 5.4832 8.7005
angles (deg): 90.00 90.00 120.00
Element x y z (fractional)
1 Mg 0.3333 0.6667 0.0645
2 Mg 0.3333 0.6667 0.4355
3 Mg 0.6667 0.3333 0.5645
4 Mg 0.6667 0.3333 0.9355
5 Al 0.0000 0.0000 0.0000
6 Al 0.0000 0.0000 0.5000
7 Al 0.1706 0.3412 0.7500
8 Al 0.1706 0.8294 0.7500
9 Al 0.3412 0.1706 0.2500
10 Al 0.6588 0.8294 0.7500
11 Al 0.8294 0.1706 0.2500
12 Al 0.8294 0.6588 0.2500

The total energy comes out at -3.0524 eV/atom.


Per-record energy of formation from the pure elements, eV/atom: -2.619; -1.599; -1.884; -0.214; -2.567; -0.022